Entry 1:
SbCNCl5 (PBE, optimized geometry); DFT formation energy = -702 meV/atom; volume = 29.948 Å³/atom; symmetry = P2_1/c, No. 14; spin magnetization = 0.0 μB per formula unit; E = -133.9 eV/cell; theoretical density = 2.3 g/cm3
1.0
6.4159 0.0000 0.0000
0.0000 11.4273 0.0000
0.0000 0.2811 13.0713
Sb C N Cl
4 4 4 20
Direct
0.9763 0.7335 0.3663
0.0237 0.2665 0.6337
0.4763 0.2665 0.1337
0.5237 0.7335 0.8663
0.0765 0.0365 0.0176
0.9235 0.9635 0.9824
0.5765 0.9635 0.4824
0.4235 0.0365 0.5176
0.2936 0.0984 0.5475
0.2064 0.0984 0.0475
0.7936 0.9016 0.9525
0.7064 0.9016 0.4525
0.1548 0.7567 0.5237
0.2616 0.3901 0.5465
0.3452 0.7567 0.0237
0.1451 0.9066 0.3047
0.6451 0.0934 0.1953
0.8114 0.4052 0.7076
0.3114 0.5948 0.7924
0.8452 0.2433 0.4763
0.7616 0.6099 0.9535
0.7307 0.7592 0.2331
0.6548 0.2433 0.9763
0.6886 0.4052 0.2076
0.2693 0.2408 0.7669
0.7384 0.6099 0.4535
0.1886 0.5948 0.2924
0.2307 0.2408 0.2669
0.8549 0.0934 0.6953
0.7693 0.7592 0.7331
0.3549 0.9066 0.8047
0.2384 0.3901 0.0465

---

Entry 2:
SbCNCl8 (PBE, optimized geometry); DFT formation energy = -552 meV/atom; volume = 30.405 Å³/atom; symmetry = P2_1/c, No. 14; spin magnetization = 0.0 μB per formula unit; E = -301.1 eV/cell; theoretical density = 2.1 g/cm3
1.0
-7.0307 9.4245 -0.5760
0.1503 -0.5191 -10.3277
-17.5557 -13.3588 -4.2914
Sb C N Cl
8 8 8 64
Direct
0.6191 0.5636 0.6467
0.1191 0.4364 0.8533
0.3809 0.4364 0.3533
0.8809 0.5636 0.1467
0.1206 0.0479 0.6292
0.6206 0.9521 0.8708
0.8794 0.9521 0.3708
0.3794 0.0479 0.1292
0.8450 0.4257 0.4040
0.3450 0.5743 0.0960
0.1550 0.5743 0.5960
0.6550 0.4257 0.9040
0.5845 0.0912 0.6140
0.0845 0.9088 0.8860
0.4155 0.9088 0.3860
0.9155 0.0912 0.1140
0.7914 0.3968 0.3602
0.2914 0.6032 0.1398
0.2086 0.6032 0.6398
0.7086 0.3968 0.8602
0.5268 0.1035 0.6596
0.0268 0.8965 0.8404
0.4732 0.8965 0.3404
0.9732 0.1035 0.1596
0.7345 0.6570 0.7147
0.2345 0.3430 0.7853
0.2655 0.3430 0.2853
0.7655 0.6570 0.2147
0.7120 0.6971 0.5601
0.2120 0.3029 0.9399
0.2880 0.3029 0.4399
0.7880 0.6971 0.0601
0.5243 0.4266 0.7317
0.0243 0.5734 0.7683
0.4757 0.5734 0.2683
0.9757 0.4266 0.2317
0.4982 0.4690 0.5801
0.9982 0.5310 0.9199
0.5018 0.5310 0.4199
0.0018 0.4690 0.0801
0.7548 0.3888 0.6465
0.2548 0.6112 0.8535
0.2452 0.6112 0.3535
0.7452 0.3888 0.1465
0.4803 0.7360 0.6449
0.9803 0.2640 0.8551
0.5197 0.2640 0.3551
0.0197 0.7360 0.1449
0.2565 0.2231 0.6277
0.7565 0.7769 0.8723
0.7435 0.7769 0.3723
0.2435 0.2231 0.1277
0.9841 0.8731 0.6304
0.4841 0.1269 0.8696
0.0159 0.1269 0.3696
0.5159 0.8731 0.1304
0.2353 0.9607 0.5581
0.7353 0.0393 0.9419
0.7647 0.0393 0.4419
0.2647 0.9607 0.0581
0.0053 0.1362 0.6991
0.5053 0.8638 0.8009
0.9947 0.8638 0.3009
0.4947 0.1362 0.1991
0.2214 0.9126 0.7118
0.7214 0.0874 0.7882
0.7786 0.0874 0.2882
0.2786 0.9126 0.2118
0.0216 0.1841 0.5451
0.5216 0.8159 0.9549
0.9784 0.8159 0.4549
0.4784 0.1841 0.0451
0.7840 0.4072 0.4747
0.2840 0.5928 0.0253
0.2160 0.5928 0.5253
0.7160 0.4072 0.9747
0.9815 0.4841 0.3941
0.4815 0.5159 0.1059
0.0185 0.5159 0.6059
0.5185 0.4841 0.8941
0.7192 0.0271 0.6231
0.2192 0.9729 0.8769
0.2808 0.9729 0.3769
0.7808 0.0271 0.1231
0.5304 0.1385 0.5419
0.0304 0.8615 0.9581
0.4696 0.8615 0.4581
0.9696 0.1385 0.0419

---

Entry 3:
Sb2C9N3Cl9 (PBE, optimized geometry); DFT formation energy = 429 meV/atom; volume = 32.370 Å³/atom; symmetry = Pc, No. 7; spin magnetization = 0.0 μB per formula unit; E = -235.1 eV/cell; theoretical density = 1.6 g/cm3
1.0
-0.7675 -3.1796 8.2689
-1.3789 -10.3751 -4.1175
14.6405 -2.7644 0.2958
Sb C N Cl
4 18 6 18
Direct
0.7876 0.9733 0.5018
0.2124 0.9733 0.0018
0.6705 0.2921 0.1659
0.3295 0.2921 0.6659
0.8379 0.4822 0.4671
0.1621 0.4822 0.9671
0.8706 0.4758 0.3882
0.1294 0.4758 0.8882
0.7996 0.5078 0.6308
0.2004 0.5078 0.1308
0.5941 0.0238 0.9224
0.4059 0.0238 0.4224
0.6722 0.0765 0.8646
0.3278 0.0765 0.3646
0.8386 0.2116 0.7715
0.1614 0.2116 0.2715
0.6600 0.7954 0.1940
0.3400 0.7954 0.6940
0.7801 0.8169 0.1216
0.2199 0.8169 0.6216
0.5857 0.7222 0.2501
0.4143 0.7222 0.7501
0.8127 0.4934 0.5524
0.1873 0.4934 0.0524
0.7602 0.1471 0.8168
0.2398 0.1471 0.3168
0.7088 0.9042 0.1553
0.2912 0.9042 0.6553
0.9738 0.8780 0.4186
0.0262 0.8780 0.9186
0.8175 0.8635 0.6388
0.1825 0.8635 0.1388
0.5786 0.8567 0.4455
0.4214 0.8567 0.9455
0.9297 0.4734 0.2859
0.0703 0.4734 0.7859
0.5282 0.4117 0.2595
0.4718 0.4117 0.7595
0.6963 0.4583 0.0650
0.3037 0.4583 0.5650
0.5241 0.1845 0.6045
0.4759 0.1845 0.1045
0.8766 0.2067 0.0905
0.1234 0.2067 0.5905
0.7406 0.1733 0.2946
0.2594 0.1733 0.7946